Mg2MoN3: optimized geometry, PBE-GGA.

Output
The crystal system is orthorhombic. The energy of formation comes out at -5.26 eV per formula unit. Its magnetic moment is 0.00 μB/f.u.

a b c (Å): 6.232 6.148 4.326
angles (deg): 90.00 90.00 119.56
Element x y z (fractional)
N 0.000 0.667 0.929
N 0.691 0.659 0.429
N 0.000 0.333 0.429
N 0.309 0.341 0.929
N 0.691 0.032 0.929
N 0.309 0.968 0.429
Mg 0.338 0.329 0.429
Mg 0.662 0.992 0.429
Mg 0.338 0.008 0.929
Mg 0.662 0.671 0.929
Mo 0.000 0.340 0.929
Mo 0.000 0.660 0.429


Zn2Sn2O5: optimized geometry, PBE-GGA.

Output
The crystal system is orthorhombic. The energy of formation comes out at -14.04 eV per formula unit. Its magnetic moment is 0.00 μB/f.u.

a b c (Å): 3.306 6.357 12.056
angles (deg): 90.00 90.00 90.00
Element x y z (fractional)
O 0.500 0.155 0.166
O 0.000 0.008 0.754
O 0.000 0.254 0.431
O 0.500 0.344 0.666
O 0.500 0.655 0.834
O 0.500 0.844 0.334
O 0.000 0.754 0.569
O 0.000 0.752 0.066
O 0.000 0.252 0.934
O 0.000 0.508 0.246
Sn 0.000 0.651 0.397
Sn 0.000 0.843 0.896
Sn 0.000 0.343 0.104
Sn 0.000 0.151 0.603
Zn 0.500 0.324 0.843
Zn 0.500 0.169 0.345
Zn 0.500 0.824 0.157
Zn 0.500 0.669 0.655


ErTiFe8Co3: optimized geometry, PBE-GGA.

Output
The crystal system is orthorhombic. The energy of formation comes out at -1.40 eV per formula unit. Its magnetic moment is 19.93 μB/f.u.

a b c (Å): 4.731 6.402 6.402
angles (deg): 97.92 111.68 68.32
Element x y z (fractional)
Ti 0.626 0.374 0.626
Fe 0.001 0.997 0.499
Fe 0.279 0.221 0.779
Fe 0.501 0.501 0.003
Fe 0.001 0.501 0.003
Fe 0.500 0.784 0.783
Fe 0.730 0.770 0.230
Fe 0.500 0.217 0.216
Fe 0.501 0.997 0.499
Er 0.005 0.995 0.005
Co 0.351 0.649 0.351
Co 0.002 0.640 0.644
Co 0.002 0.356 0.360


Ca10Al2Cu19: optimized geometry, PBE-GGA.

Output
The crystal system is hexagonal. The energy of formation comes out at -4.62 eV per formula unit. Its magnetic moment is 0.41 μB/f.u.

a b c (Å): 14.761 14.761 9.060
angles (deg): 90.00 90.00 120.00
Element x y z (fractional)
Cu 0.449 0.898 0.252
Cu 0.671 0.162 0.500
Cu 0.898 0.449 0.252
Cu 0.551 0.102 0.748
Cu 0.000 0.356 0.352
Cu 0.000 0.791 0.784
Cu 0.106 0.894 0.000
Cu 0.509 0.671 0.500
Cu 0.644 0.644 0.648
Cu 0.000 0.209 0.216
Cu 0.500 0.000 0.500
Cu 0.329 0.491 0.500
Cu 0.162 0.671 0.500
Cu 0.671 0.509 0.500
Cu 0.644 0.644 0.352
Cu 0.509 0.838 0.500
Cu 0.209 0.000 0.216
Cu 0.551 0.102 0.252
Cu 0.213 0.106 0.000
Cu 0.644 0.000 0.648
Cu 0.000 0.791 0.216
Cu 0.551 0.449 0.252
Cu 0.791 0.000 0.784
Cu 0.356 0.000 0.648
Cu 0.000 0.500 0.500
Cu 0.106 0.213 0.000
Cu 0.102 0.551 0.748
Cu 0.356 0.356 0.648
Cu 0.500 0.500 0.500
Cu 0.209 0.209 0.784
Cu 0.000 0.644 0.352
Cu 0.791 0.791 0.784
Cu 0.209 0.209 0.216
Cu 0.209 0.000 0.784
Cu 0.491 0.162 0.500
Cu 0.894 0.787 0.000
Cu 0.449 0.551 0.252
Cu 0.551 0.449 0.748
Cu 0.449 0.551 0.748
Cu 0.102 0.551 0.252
Cu 0.356 0.000 0.352
Cu 0.791 0.000 0.216
Cu 0.898 0.449 0.748
Cu 0.838 0.329 0.500
Cu 0.000 0.644 0.648
Cu 0.787 0.894 0.000
Cu 0.000 0.356 0.648
Cu 0.894 0.106 0.000
Cu 0.791 0.791 0.216
Cu 0.356 0.356 0.352
Cu 0.491 0.329 0.500
Cu 0.329 0.838 0.500
Cu 0.162 0.491 0.500
Cu 0.838 0.509 0.500
Cu 0.449 0.898 0.748
Cu 0.000 0.209 0.784
Cu 0.644 0.000 0.352
Ca 0.000 0.000 0.782
Ca 0.333 0.667 0.315
Ca 0.584 0.792 0.792
Ca 0.208 0.416 0.792
Ca 0.792 0.208 0.792
Ca 0.792 0.584 0.792
Ca 0.132 0.265 0.500
Ca 0.868 0.132 0.500
Ca 0.621 0.000 0.000
Ca 0.208 0.792 0.792
Ca 0.379 0.379 0.000
Ca 0.584 0.792 0.208
Ca 0.208 0.416 0.208
Ca 0.667 0.333 0.315
Ca 0.265 0.132 0.500
Ca 0.333 0.667 0.685
Ca 0.621 0.621 0.000
Ca 0.792 0.208 0.208
Ca 0.792 0.584 0.208
Ca 0.868 0.735 0.500
Ca 0.735 0.868 0.500
Ca 0.000 0.379 0.000
Ca 0.667 0.333 0.685
Ca 0.000 0.000 0.218
Ca 0.208 0.792 0.208
Ca 0.416 0.208 0.792
Ca 0.132 0.868 0.500
Ca 0.379 0.000 0.000
Ca 0.416 0.208 0.208
Ca 0.000 0.621 0.000
Al 0.604 0.396 0.000
Al 0.604 0.207 0.000
Al 0.207 0.604 0.000
Al 0.396 0.793 0.000
Al 0.396 0.604 0.000
Al 0.793 0.396 0.000


Ba3W3N5: optimized geometry, PBE-GGA.

Output
The crystal system is triclinic. The energy of formation comes out at -6.21 eV per formula unit. Its magnetic moment is 0.00 μB/f.u.

a b c (Å): 6.232 7.579 9.283
angles (deg): 106.61 101.39 95.03
Element x y z (fractional)
N 0.616 0.053 0.378
N 0.866 0.745 0.526
N 0.093 0.886 0.224
N 0.145 0.798 0.871
N 0.907 0.114 0.776
N 0.384 0.947 0.622
N 0.134 0.255 0.474
N 0.782 0.535 0.937
N 0.218 0.465 0.063
N 0.855 0.202 0.129
W 0.305 0.045 0.431
W 0.695 0.955 0.569
W 0.887 0.094 0.298
W 0.915 0.312 0.971
W 0.085 0.688 0.029
W 0.113 0.906 0.702
Ba 0.181 0.573 0.388
Ba 0.644 0.860 0.881
Ba 0.358 0.349 0.786
Ba 0.819 0.427 0.612
Ba 0.356 0.140 0.119
Ba 0.642 0.651 0.214


Na3PdF6: optimized geometry, PBE-GGA.

Output
The crystal system is cubic. The energy of formation comes out at -23.35 eV per formula unit. Its magnetic moment is 1.00 μB/f.u.

a b c (Å): 5.967 5.967 5.967
angles (deg): 60.00 60.00 60.00
Element x y z (fractional)
Na 0.250 0.250 0.250
Na 0.500 0.500 0.500
Na 0.750 0.750 0.750
F 0.759 0.759 0.241
F 0.759 0.241 0.241
F 0.241 0.759 0.759
F 0.241 0.241 0.759
F 0.759 0.241 0.759
F 0.241 0.759 0.241
Pd 0.000 0.000 0.000


NaBrF4: optimized geometry, PBE-GGA.

Output
The crystal system is tetragonal. The energy of formation comes out at -11.37 eV per formula unit.

a b c (Å): 5.847 5.847 6.720
angles (deg): 115.79 115.79 90.00
Element x y z (fractional)
F 0.705 0.205 0.739
F 0.205 0.034 0.739
F 0.295 0.795 0.261
F 0.966 0.466 0.261
F 0.534 0.705 0.739
F 0.034 0.534 0.739
F 0.466 0.295 0.261
F 0.795 0.966 0.261
Na 0.250 0.250 0.500
Na 0.750 0.750 0.500
Br 0.500 0.000 0.000
Br 0.000 0.500 0.000


Na4Al3Si3IO12: optimized geometry, PBE-GGA.

Output
The crystal system is cubic. Its piezoelectric modulus e_max is 0.25 C/m2. The energy of formation comes out at -69.35 eV per formula unit. Its magnetic moment is 0.00 μB/f.u.

a b c (Å): 9.109 9.109 9.109
angles (deg): 90.00 90.00 90.00
Element x y z (fractional)
Na 0.699 0.301 0.301
Na 0.301 0.699 0.301
Na 0.801 0.801 0.199
Na 0.801 0.199 0.801
Na 0.301 0.301 0.699
Na 0.199 0.199 0.199
Na 0.699 0.699 0.699
Na 0.199 0.801 0.801
I 0.500 0.500 0.500
I 0.000 0.000 0.000
O 0.152 0.858 0.550
O 0.858 0.450 0.848
O 0.550 0.848 0.142
O 0.652 0.950 0.642
O 0.142 0.450 0.152
O 0.642 0.652 0.950
O 0.450 0.152 0.142
O 0.142 0.550 0.848
O 0.050 0.642 0.348
O 0.152 0.142 0.450
O 0.950 0.358 0.348
O 0.950 0.642 0.652
O 0.858 0.550 0.152
O 0.652 0.050 0.358
O 0.642 0.348 0.050
O 0.848 0.858 0.450
O 0.848 0.142 0.550
O 0.050 0.358 0.652
O 0.348 0.950 0.358
O 0.358 0.348 0.950
O 0.348 0.050 0.642
O 0.358 0.652 0.050
O 0.550 0.152 0.858
O 0.450 0.848 0.858
Si 0.750 0.000 0.500
Si 0.500 0.750 0.000
Si 0.500 0.250 0.000
Si 0.000 0.500 0.750
Si 0.250 0.000 0.500
Si 0.000 0.500 0.250
Al 0.000 0.250 0.500
Al 0.500 0.000 0.250
Al 0.750 0.500 0.000
Al 0.000 0.750 0.500
Al 0.500 0.000 0.750
Al 0.250 0.500 0.000


Si2H2O3: optimized geometry, PBE-GGA.

Output
The crystal system is triclinic. The energy of formation comes out at -10.24 eV per formula unit. Its magnetic moment is 0.00 μB/f.u. The energy above the most stable polymorph in this dataset is 615 meV per atom.

a b c (Å): 8.061 10.252 12.795
angles (deg): 84.06 72.66 69.75
Element x y z (fractional)
Si 0.208 0.005 0.207
Si 0.822 0.233 0.546
Si 0.847 0.614 0.825
Si 0.541 0.228 0.942
Si 0.291 0.182 0.876
Si 0.301 0.364 0.643
Si 0.760 0.125 0.236
Si 0.611 0.516 0.698
Si 0.431 0.554 0.290
Si 0.270 0.906 0.716
Si 0.755 0.826 0.486
Si 0.023 0.425 0.191
Si 0.665 0.509 0.415
Si 0.666 0.927 0.092
Si 0.099 0.620 0.988
Si 0.813 0.993 0.781
Si 0.287 0.138 0.498
Si 0.921 0.375 0.037
Si 0.408 0.706 0.050
Si 0.172 0.802 0.464
O 0.968 0.796 0.990
O 0.949 0.816 0.520
O 0.855 0.436 0.908
O 0.200 0.293 0.777
O 0.138 0.934 0.353
O 0.208 0.851 0.127
O 0.109 0.243 0.982
O 0.305 0.642 0.978
O 0.042 0.989 0.726
O 0.241 0.034 0.855
O 0.848 0.475 0.308
O 0.207 0.660 0.368
O 0.721 0.589 0.753
O 0.733 0.134 0.655
O 0.845 0.846 0.347
O 0.215 0.291 0.568
O 0.563 0.387 0.868
O 0.047 0.127 0.551
O 0.697 0.792 0.191
O 0.401 0.403 0.329
O 0.760 0.298 0.098
O 0.024 0.604 0.146
O 0.357 0.011 0.610
O 0.761 0.018 0.145
O 0.775 0.647 0.481
O 0.816 0.371 0.632
O 0.985 0.092 0.220
O 0.366 0.582 0.165
O 0.106 0.517 0.682
O 0.750 0.123 0.871
H 0.621 0.732 0.199
H 0.042 0.073 0.625
H 0.767 0.836 0.303
H 0.598 0.173 0.677
H 0.254 0.559 0.168
H 0.088 0.838 0.155
H 0.064 0.339 0.809
H 0.046 0.853 0.981
H 0.506 0.315 0.312
H 0.104 0.594 0.630
H 0.465 0.468 0.911
H 0.903 0.591 0.447
H 0.752 0.408 0.897
H 0.108 0.056 0.889
H 0.504 0.945 0.569
H 0.944 0.368 0.626
H 0.106 0.696 0.332
H 0.724 0.244 0.055
H 0.897 0.679 0.171
H 0.003 0.975 0.368


Ba8CaY2U4O24: optimized geometry, PBE-GGA.

Output
The crystal system is tetragonal. The energy of formation comes out at -139.32 eV per formula unit. Its magnetic moment is 0.00 μB/f.u. The energy above the most stable polymorph in this dataset is 0 meV per atom.

a b c (Å): 10.782 10.782 10.782
angles (deg): 132.01 132.01 70.22
Element x y z (fractional)
U 0.500 0.000 0.500
U 0.747 0.747 0.000
U 0.253 0.253 0.000
U 0.000 0.500 0.500
O 0.000 0.271 0.271
O 0.729 0.000 0.729
O 0.123 0.623 0.500
O 0.006 0.249 0.757
O 0.861 0.861 0.000
O 0.139 0.139 0.000
O 0.500 0.239 0.739
O 0.000 0.729 0.729
O 0.761 0.500 0.261
O 0.623 0.123 0.500
O 0.249 0.492 0.243
O 0.368 0.368 0.000
O 0.271 0.000 0.271
O 0.239 0.500 0.739
O 0.500 0.761 0.261
O 0.877 0.377 0.500
O 0.632 0.632 0.000
O 0.377 0.877 0.500
O 0.994 0.751 0.243
O 0.492 0.249 0.243
O 0.508 0.751 0.757
O 0.751 0.994 0.243
O 0.751 0.508 0.757
O 0.249 0.006 0.757
Y 0.250 0.750 0.500
Y 0.750 0.250 0.500
Ca 0.500 0.500 0.000
Ba 0.357 0.879 0.000
Ba 0.879 0.357 0.000
Ba 0.357 0.357 0.478
Ba 0.879 0.879 0.522
Ba 0.643 0.643 0.522
Ba 0.643 0.121 0.000
Ba 0.121 0.643 0.000
Ba 0.121 0.121 0.478


CaI2O12: optimized geometry, PBE-GGA.

Output
The crystal system is orthorhombic. The energy of formation comes out at -7.08 eV per formula unit. Its magnetic moment is 3.95 μB/f.u. The energy above the most stable polymorph in this dataset is 0 meV per atom.

a b c (Å): 14.608 13.286 7.431
angles (deg): 84.67 64.90 30.43
Element x y z (fractional)
O 0.676 0.184 0.910
O 0.686 0.006 0.126
O 0.970 0.501 0.779
O 0.114 0.757 0.824
O 0.834 0.658 0.986
O 0.918 0.409 0.477
O 0.523 0.986 0.658
O 0.592 0.416 0.727
O 0.230 0.910 0.184
O 0.773 0.055 0.332
O 0.066 0.574 0.020
O 0.195 0.477 0.409
O 0.124 0.068 0.564
O 0.306 0.824 0.757
O 0.493 0.136 0.944
O 0.841 0.332 0.055
O 0.340 0.020 0.574
O 0.426 0.944 0.136
O 0.244 0.564 0.068
O 0.751 0.779 0.501
O 0.182 0.126 0.006
O 0.264 0.727 0.416
O 0.749 0.280 0.499
O 0.471 0.499 0.280
I 0.455 0.285 0.087
I 0.965 0.795 0.077
I 0.173 0.087 0.285
I 0.163 0.077 0.795
Ca 0.928 0.072 0.072
Ca 0.178 0.322 0.322